(1)
This record from the Materials Project describes crystalline LiCuRu2Rh2O8 at its relaxed geometry. The functional is PBE.

Unit cell a=6.146 b=6.146 c=6.146 alpha=125.16 beta=118.74 gamma=86.75
Atoms (fractional coordinates):
Li: 0.000 0.000 0.000
Cu: 0.752 0.252 0.500
Ru: 0.370 0.093 0.723
Ru: 0.370 0.647 0.277
Rh: 0.372 0.619 0.753
Rh: 0.866 0.619 0.247
O: 0.102 0.851 0.251
O: 0.140 0.409 0.269
O: 0.140 0.870 0.731
O: 0.170 0.386 0.784
O: 0.598 0.359 0.761
O: 0.598 0.838 0.239
O: 0.600 0.851 0.749
O: 0.603 0.386 0.216

* SG: No. 44
* total moment: 0.0 μB/cell
* ΔH_f (0 K): -1.3028 eV per atom

(2)
This record from the Materials Project describes crystalline Li2Cu2S3O12 at its relaxed geometry. The functional is PBE.

Unit cell a=8.646 b=8.681 c=24.131 alpha=90.00 beta=90.00 gamma=90.00
Atoms (fractional coordinates):
Li: 0.038 0.124 0.209
Li: 0.038 0.376 0.709
Li: 0.147 0.069 0.992
Li: 0.147 0.431 0.492
Li: 0.353 0.569 0.992
Li: 0.353 0.931 0.492
Li: 0.462 0.624 0.209
Li: 0.462 0.876 0.709
Li: 0.538 0.124 0.291
Li: 0.538 0.376 0.791
Li: 0.647 0.069 0.508
Li: 0.647 0.431 0.008
Li: 0.853 0.569 0.508
Li: 0.853 0.931 0.008
Li: 0.962 0.624 0.291
Li: 0.962 0.876 0.791
Cu: 0.002 0.703 0.679
Cu: 0.002 0.797 0.179
Cu: 0.006 0.598 0.934
Cu: 0.006 0.902 0.434
Cu: 0.494 0.098 0.934
Cu: 0.494 0.402 0.434
Cu: 0.498 0.203 0.679
Cu: 0.498 0.297 0.179
Cu: 0.502 0.703 0.821
Cu: 0.502 0.797 0.321
Cu: 0.506 0.598 0.566
Cu: 0.506 0.902 0.066
Cu: 0.994 0.098 0.566
Cu: 0.994 0.402 0.066
Cu: 0.998 0.203 0.821
Cu: 0.998 0.297 0.321
S: 0.142 0.052 0.702
S: 0.142 0.448 0.202
S: 0.148 0.747 0.555
S: 0.148 0.753 0.055
S: 0.196 0.594 0.384
S: 0.196 0.906 0.884
S: 0.304 0.094 0.384
S: 0.304 0.406 0.884
S: 0.352 0.247 0.555
S: 0.352 0.253 0.055
S: 0.358 0.552 0.702
S: 0.358 0.948 0.202
S: 0.642 0.052 0.798
S: 0.642 0.448 0.298
S: 0.648 0.747 0.945
S: 0.648 0.753 0.445
S: 0.696 0.594 0.116
S: 0.696 0.906 0.616
S: 0.804 0.094 0.116
S: 0.804 0.406 0.616
S: 0.852 0.247 0.945
S: 0.852 0.253 0.445
S: 0.858 0.552 0.798
S: 0.858 0.948 0.298
O: 0.062 0.611 0.536
O: 0.062 0.889 0.036
O: 0.080 0.598 0.222
O: 0.080 0.902 0.722
O: 0.085 0.606 0.029
O: 0.085 0.894 0.529
O: 0.086 0.092 0.647
O: 0.086 0.408 0.147
O: 0.091 0.177 0.741
O: 0.091 0.323 0.241
O: 0.093 0.689 0.420
O: 0.093 0.811 0.920
O: 0.097 0.509 0.344
O: 0.097 0.991 0.844
O: 0.140 0.736 0.116
O: 0.140 0.764 0.616
O: 0.186 0.542 0.704
O: 0.186 0.958 0.204
O: 0.187 0.236 0.537
O: 0.187 0.264 0.037
O: 0.190 0.184 0.353
O: 0.190 0.316 0.853
O: 0.228 0.517 0.924
O: 0.228 0.983 0.424
O: 0.272 0.017 0.924
O: 0.272 0.483 0.424
O: 0.310 0.684 0.353
O: 0.310 0.816 0.853
O: 0.313 0.736 0.537
O: 0.313 0.764 0.037
O: 0.314 0.042 0.704
O: 0.314 0.458 0.204
O: 0.360 0.236 0.116
O: 0.360 0.264 0.616
O: 0.403 0.009 0.344
O: 0.403 0.491 0.844
O: 0.407 0.189 0.420
O: 0.407 0.311 0.920
O: 0.409 0.677 0.741
O: 0.409 0.823 0.241
O: 0.414 0.592 0.647
O: 0.414 0.908 0.147
O: 0.415 0.106 0.029
O: 0.415 0.394 0.529
O: 0.420 0.098 0.222
O: 0.420 0.402 0.722
O: 0.438 0.111 0.536
O: 0.438 0.389 0.036
O: 0.562 0.611 0.964
O: 0.562 0.889 0.464
O: 0.580 0.598 0.278
O: 0.580 0.902 0.778
O: 0.585 0.606 0.471
O: 0.585 0.894 0.971
O: 0.586 0.092 0.853
O: 0.586 0.408 0.353
O: 0.591 0.177 0.759
O: 0.591 0.323 0.259
O: 0.593 0.689 0.080
O: 0.593 0.811 0.580
O: 0.597 0.509 0.156
O: 0.597 0.991 0.656
O: 0.640 0.736 0.384
O: 0.640 0.764 0.884
O: 0.686 0.542 0.796
O: 0.686 0.958 0.296
O: 0.687 0.236 0.963
O: 0.687 0.264 0.463
O: 0.690 0.184 0.147
O: 0.690 0.316 0.647
O: 0.728 0.517 0.576
O: 0.728 0.983 0.076
O: 0.772 0.017 0.576
O: 0.772 0.483 0.076
O: 0.810 0.684 0.147
O: 0.810 0.816 0.647
O: 0.813 0.736 0.963
O: 0.813 0.764 0.463
O: 0.814 0.042 0.796
O: 0.814 0.458 0.296
O: 0.860 0.236 0.384
O: 0.860 0.264 0.884
O: 0.903 0.009 0.156
O: 0.903 0.491 0.656
O: 0.907 0.189 0.080
O: 0.907 0.311 0.580
O: 0.909 0.677 0.759
O: 0.909 0.823 0.259
O: 0.914 0.592 0.853
O: 0.914 0.908 0.353
O: 0.915 0.106 0.471
O: 0.915 0.394 0.971
O: 0.920 0.098 0.278
O: 0.920 0.402 0.778
O: 0.938 0.111 0.964
O: 0.938 0.389 0.464

* SG: No. 61
* total moment: 16.0 μB/cell
* ΔH_f (0 K): -1.7655 eV per atom